No. 1
## SmMgCrS4 (PBE-GGA)

Data for a relaxed SmMgCrS4 crystal.

Cell: 7.5578 7.7526 10.7754 Å, 90.00 90.00 90.00°
Space group Imma (No. 74)
Inequivalent atoms, fractional coordinates:
Sm1 0.0000 0.0000 0.0000 [4 per cell]
Mg1 0.0000 0.2500 0.3762 [4 per cell]
Cr1 0.2500 0.2500 0.7500 [4 per cell]
S1 0.0000 0.0365 0.7426 [8 per cell]
S2 0.2460 0.2500 0.5223 [8 per cell]

* spin magnetization: 3.00 μB per formula unit


No. 2
## Nb3Ge (PBE-GGA)

Data for a relaxed Nb3Ge crystal.

Cell: 10.3591 10.3591 5.3063 Å, 90.00 90.00 90.00°
Space group P4_2/n (No. 86, origin choice 2)
Inequivalent atoms, fractional coordinates:
Nb1 0.0359 0.5639 0.2358 [8 per cell]
Nb2 0.1012 0.2284 0.0292 [8 per cell]
Nb3 0.1527 0.6667 0.7141 [8 per cell]
Ge1 0.0463 0.2174 0.5328 [8 per cell]

* energy above the lowest structure with this stoichiometry: 0 meV per atom


No. 3
## KAlO2 (PBE-GGA)

Data for a relaxed KAlO2 crystal.

Cell: 5.5827 5.5827 7.7777 Å, 90.00 90.00 90.00°
Space group P4_12_12 (No. 92)
Inequivalent atoms, fractional coordinates:
K1 0.2247 0.2247 0.0000 [4 per cell]
Al1 0.2125 0.2125 0.5000 [4 per cell]
O1 0.0861 0.7561 0.9233 [8 per cell]


Number 1: energy relative to the elements -1.576 eV per atom, final energy -5.934 eV per atom. Number 2: energy relative to the elements -0.318 eV per atom, final energy -9.050 eV per atom. Number 3: energy relative to the elements -2.911 eV per atom, final energy -6.255 eV per atom.